Entry from Materials Project: a relaxed HoHO2 crystal (PBE). Values from VASP.

Quantum ESPRESSO input file:
```
&SYSTEM
  ibrav = 0, nat = 8, ntyp = 3
/
ATOMIC_SPECIES
Ho 164.93 Ho.upf
H 1.01 H.upf
O 16.00 O.upf
CELL_PARAMETERS angstrom
3.486 0.000 0.000
0.000 4.849 0.000
0.000 0.000 5.464
ATOMIC_POSITIONS crystal
Ho 0.000 0.223 0.000
Ho 0.500 0.777 0.500
H 0.000 0.306 0.480
H 0.500 0.694 0.980
O 0.000 0.018 0.639
O 0.000 0.479 0.374
O 0.500 0.521 0.874
O 0.500 0.982 0.139
```

Summary:
The energy relative to the elements is -2993 meV per atom. Its space group is Pmn2_1. The piezoelectric modulus e_max comes out at 1.07 C/m2.



Entry from Materials Project: a relaxed HoHO2 crystal (PBE). Values from VASP.

Quantum ESPRESSO input file:
```
&SYSTEM
  ibrav = 0, nat = 16, ntyp = 3
/
ATOMIC_SPECIES
Ho 164.93 Ho.upf
H 1.01 H.upf
O 16.00 O.upf
CELL_PARAMETERS angstrom
11.086 0.000 0.000
0.000 3.527 0.000
0.000 0.000 4.963
ATOMIC_POSITIONS crystal
Ho 0.145 0.250 0.068
Ho 0.355 0.750 0.568
Ho 0.645 0.250 0.432
Ho 0.855 0.750 0.932
H 0.088 0.750 0.610
H 0.412 0.250 0.110
H 0.588 0.750 0.890
H 0.912 0.250 0.390
O 0.059 0.750 0.801
O 0.193 0.750 0.312
O 0.307 0.250 0.812
O 0.441 0.250 0.301
O 0.559 0.750 0.699
O 0.693 0.750 0.188
O 0.807 0.250 0.688
O 0.941 0.250 0.199
```

Summary:
The energy relative to the elements is -2998 meV per atom. Its space group is Pnma.



Entry from Materials Project: a relaxed HoH3O3 crystal (PBE). Values from VASP.

Quantum ESPRESSO input file:
```
&SYSTEM
  ibrav = 0, nat = 14, ntyp = 3
/
ATOMIC_SPECIES
Ho 164.93 Ho.upf
H 1.01 H.upf
O 16.00 O.upf
CELL_PARAMETERS angstrom
6.322 0.000 0.000
-3.161 5.475 0.000
0.000 0.000 3.526
ATOMIC_POSITIONS crystal
Ho 0.333 0.667 0.250
Ho 0.667 0.333 0.750
H 0.139 0.860 0.750
H 0.140 0.279 0.750
H 0.279 0.139 0.250
H 0.721 0.861 0.750
H 0.860 0.721 0.250
H 0.861 0.140 0.250
O 0.085 0.398 0.750
O 0.313 0.915 0.750
O 0.398 0.313 0.250
O 0.602 0.687 0.750
O 0.687 0.085 0.250
O 0.915 0.602 0.250
```

Summary:
The energy relative to the elements is -2248 meV per atom. Its space group is P6_3/m.



Entry from Materials Project: a relaxed HoP2H7O10 crystal (PBE). Values from VASP.

Quantum ESPRESSO input file:
```
&SYSTEM
  ibrav = 0, nat = 80, ntyp = 4
/
ATOMIC_SPECIES
Ho 164.93 Ho.upf
P 30.97 P.upf
H 1.01 H.upf
O 16.00 O.upf
CELL_PARAMETERS angstrom
10.106 0.000 0.000
0.000 11.326 0.000
0.000 0.000 7.336
ATOMIC_POSITIONS crystal
Ho 0.248 0.250 0.250
Ho 0.252 0.750 0.250
Ho 0.748 0.250 0.750
Ho 0.752 0.750 0.750
P 0.032 0.077 0.589
P 0.032 0.423 0.911
P 0.468 0.577 0.911
P 0.468 0.923 0.589
P 0.532 0.077 0.411
P 0.532 0.423 0.089
P 0.968 0.577 0.089
P 0.968 0.923 0.411
H 0.056 0.731 0.563
H 0.056 0.769 0.937
H 0.129 0.074 0.976
H 0.129 0.426 0.524
H 0.165 0.652 0.646
H 0.165 0.848 0.854
H 0.250 0.000 0.694
H 0.250 0.500 0.806
H 0.335 0.152 0.854
H 0.335 0.348 0.646
H 0.371 0.574 0.524
H 0.371 0.926 0.976
H 0.444 0.231 0.937
H 0.444 0.269 0.563
H 0.556 0.731 0.437
H 0.556 0.769 0.063
H 0.629 0.074 0.024
H 0.629 0.426 0.476
H 0.665 0.652 0.354
H 0.665 0.848 0.146
H 0.750 0.000 0.306
H 0.750 0.500 0.194
H 0.835 0.152 0.146
H 0.835 0.348 0.354
H 0.871 0.574 0.476
H 0.871 0.926 0.024
H 0.944 0.231 0.063
H 0.944 0.269 0.437
O 0.090 0.168 0.455
O 0.090 0.332 0.045
O 0.093 0.615 0.189
O 0.093 0.885 0.311
O 0.117 0.112 0.096
O 0.117 0.388 0.404
O 0.137 0.028 0.723
O 0.137 0.472 0.777
O 0.152 0.713 0.555
O 0.152 0.787 0.945
O 0.348 0.213 0.945
O 0.348 0.287 0.555
O 0.363 0.528 0.777
O 0.363 0.972 0.723
O 0.383 0.612 0.404
O 0.383 0.888 0.096
O 0.407 0.115 0.311
O 0.407 0.385 0.189
O 0.410 0.668 0.045
O 0.410 0.832 0.455
O 0.590 0.168 0.545
O 0.590 0.332 0.955
O 0.593 0.615 0.811
O 0.593 0.885 0.689
O 0.617 0.112 0.904
O 0.617 0.388 0.596
O 0.637 0.028 0.277
O 0.637 0.472 0.223
O 0.652 0.713 0.445
O 0.652 0.787 0.055
O 0.848 0.213 0.055
O 0.848 0.287 0.445
O 0.863 0.528 0.223
O 0.863 0.972 0.277
O 0.883 0.612 0.596
O 0.883 0.888 0.904
O 0.907 0.115 0.689
O 0.907 0.385 0.811
O 0.910 0.668 0.955
O 0.910 0.832 0.545
```

Summary:
The energy relative to the elements is -1820 meV per atom. Its space group is Pnna.



Entry from Materials Project: a relaxed HoP2H5O10 crystal (PBE). Values from VASP.

Quantum ESPRESSO input file:
```
&SYSTEM
  ibrav = 0, nat = 36, ntyp = 4
/
ATOMIC_SPECIES
Ho 164.93 Ho.upf
P 30.97 P.upf
H 1.01 H.upf
O 16.00 O.upf
CELL_PARAMETERS angstrom
6.423 0.000 0.000
0.091 6.897 0.000
1.800 1.712 9.991
ATOMIC_POSITIONS crystal
Ho 0.130 0.243 0.038
Ho 0.870 0.757 0.962
P 0.301 0.733 0.070
P 0.452 0.367 0.713
P 0.548 0.633 0.287
P 0.699 0.267 0.930
H 0.176 0.086 0.322
H 0.266 0.952 0.790
H 0.274 0.746 0.742
H 0.333 0.272 0.288
H 0.498 0.314 0.502
H 0.502 0.686 0.498
H 0.667 0.728 0.712
H 0.726 0.254 0.258
H 0.734 0.048 0.210
H 0.824 0.914 0.678
O 0.024 0.413 0.512
O 0.159 0.565 0.051
O 0.160 0.915 0.057
O 0.179 0.840 0.786
O 0.213 0.209 0.261
O 0.260 0.292 0.815
O 0.337 0.692 0.224
O 0.464 0.588 0.659
O 0.476 0.241 0.597
O 0.487 0.247 0.022
O 0.513 0.753 0.978
O 0.524 0.759 0.403
O 0.536 0.412 0.341
O 0.663 0.308 0.776
O 0.740 0.708 0.185
O 0.787 0.791 0.739
O 0.821 0.160 0.214
O 0.840 0.085 0.943
O 0.841 0.435 0.949
O 0.976 0.587 0.488
```

Summary:
The energy relative to the elements is -2234 meV per atom. Its space group is P-1.



Entry from Materials Project: a relaxed HoP4HO12 crystal (PBE). Values from VASP.

Quantum ESPRESSO input file:
```
&SYSTEM
  ibrav = 0, nat = 72, ntyp = 4
/
ATOMIC_SPECIES
Ho 164.93 Ho.upf
P 30.97 P.upf
H 1.01 H.upf
O 16.00 O.upf
CELL_PARAMETERS angstrom
13.779 0.000 0.000
0.000 7.187 0.000
-1.894 0.000 9.596
ATOMIC_POSITIONS crystal
Ho 0.230 0.056 0.059
Ho 0.230 0.444 0.559
Ho 0.770 0.556 0.441
Ho 0.770 0.944 0.941
P 0.095 0.104 0.713
P 0.095 0.396 0.213
P 0.114 0.712 0.793
P 0.114 0.788 0.293
P 0.398 0.155 0.811
P 0.398 0.345 0.311
P 0.401 0.675 0.125
P 0.401 0.825 0.625
P 0.599 0.175 0.375
P 0.599 0.325 0.875
P 0.602 0.655 0.689
P 0.602 0.845 0.189
P 0.886 0.212 0.707
P 0.886 0.288 0.207
P 0.905 0.604 0.787
P 0.905 0.896 0.287
H 0.293 0.632 0.943
H 0.293 0.868 0.443
H 0.707 0.132 0.557
H 0.707 0.368 0.057
O 0.015 0.675 0.854
O 0.015 0.825 0.354
O 0.084 0.618 0.186
O 0.084 0.882 0.686
O 0.118 0.140 0.867
O 0.118 0.360 0.367
O 0.137 0.550 0.708
O 0.137 0.950 0.208
O 0.162 0.175 0.621
O 0.162 0.325 0.121
O 0.192 0.730 0.417
O 0.192 0.770 0.917
O 0.332 0.688 0.669
O 0.332 0.812 0.169
O 0.338 0.083 0.912
O 0.338 0.417 0.412
O 0.356 0.207 0.202
O 0.356 0.293 0.702
O 0.357 0.570 0.987
O 0.357 0.930 0.487
O 0.442 0.523 0.239
O 0.442 0.977 0.739
O 0.500 0.234 0.904
O 0.500 0.266 0.404
O 0.500 0.734 0.596
O 0.500 0.766 0.096
O 0.558 0.023 0.261
O 0.558 0.477 0.761
O 0.643 0.070 0.513
O 0.643 0.430 0.013
O 0.644 0.707 0.298
O 0.644 0.793 0.798
O 0.662 0.583 0.588
O 0.662 0.917 0.088
O 0.668 0.188 0.831
O 0.668 0.312 0.331
O 0.808 0.230 0.083
O 0.808 0.270 0.583
O 0.838 0.675 0.879
O 0.838 0.825 0.379
O 0.863 0.050 0.792
O 0.863 0.450 0.292
O 0.882 0.640 0.633
O 0.882 0.860 0.133
O 0.916 0.118 0.314
O 0.916 0.382 0.814
O 0.985 0.175 0.646
O 0.985 0.325 0.146
```

Summary:
The energy relative to the elements is -2788 meV per atom. Its space group is P2_1/c.



Entry from Materials Project: a relaxed RbHoHS2O9 crystal (PBE). Values from VASP.

Quantum ESPRESSO input file:
```
&SYSTEM
  ibrav = 0, nat = 56, ntyp = 5
/
ATOMIC_SPECIES
Rb 85.47 Rb.upf
Ho 164.93 Ho.upf
H 1.01 H.upf
S 32.06 S.upf
O 16.00 O.upf
CELL_PARAMETERS angstrom
10.265 0.000 0.000
0.000 8.386 0.000
-5.098 0.000 9.192
ATOMIC_POSITIONS crystal
Rb 0.214 0.157 0.180
Rb 0.214 0.343 0.680
Rb 0.786 0.657 0.320
Rb 0.786 0.843 0.820
Ho 0.257 0.643 0.037
Ho 0.257 0.857 0.537
Ho 0.743 0.143 0.463
Ho 0.743 0.357 0.963
H 0.322 0.533 0.462
H 0.322 0.967 0.962
H 0.678 0.033 0.038
H 0.678 0.467 0.538
S 0.057 0.636 0.181
S 0.057 0.864 0.681
S 0.500 0.201 0.603
S 0.500 0.299 0.103
S 0.500 0.701 0.897
S 0.500 0.799 0.397
S 0.943 0.136 0.319
S 0.943 0.364 0.819
O 0.070 0.743 0.582
O 0.070 0.757 0.082
O 0.080 0.714 0.317
O 0.080 0.786 0.817
O 0.094 0.064 0.391
O 0.094 0.436 0.891
O 0.174 0.515 0.209
O 0.174 0.985 0.709
O 0.313 0.594 0.537
O 0.313 0.906 0.037
O 0.370 0.616 0.894
O 0.370 0.884 0.394
O 0.400 0.086 0.620
O 0.400 0.414 0.120
O 0.417 0.210 0.966
O 0.417 0.290 0.466
O 0.444 0.687 0.271
O 0.444 0.813 0.771
O 0.556 0.187 0.229
O 0.556 0.313 0.729
O 0.583 0.710 0.534
O 0.583 0.790 0.034
O 0.600 0.586 0.880
O 0.600 0.914 0.380
O 0.630 0.116 0.606
O 0.630 0.384 0.106
O 0.687 0.094 0.963
O 0.687 0.406 0.463
O 0.826 0.015 0.291
O 0.826 0.485 0.791
O 0.906 0.564 0.109
O 0.906 0.936 0.609
O 0.920 0.214 0.183
O 0.920 0.286 0.683
O 0.930 0.243 0.918
O 0.930 0.257 0.418
```

Summary:
The energy relative to the elements is -2243 meV per atom. Its space group is P2_1/c.



Entry from Materials Project: a relaxed Ho2H16S3O20 crystal (PBE). Values from VASP.

Quantum ESPRESSO input file:
```
&SYSTEM
  ibrav = 0, nat = 82, ntyp = 4
/
ATOMIC_SPECIES
Ho 164.93 Ho.upf
H 1.01 H.upf
S 32.06 S.upf
O 16.00 O.upf
CELL_PARAMETERS angstrom
6.902 -3.350 0.000
6.902 3.350 0.000
-4.096 0.000 17.901
ATOMIC_POSITIONS crystal
Ho 0.148 0.185 0.392
Ho 0.185 0.148 0.892
Ho 0.815 0.852 0.108
Ho 0.852 0.815 0.608
H 0.054 0.845 0.355
H 0.155 0.946 0.145
H 0.165 0.824 0.956
H 0.176 0.835 0.544
H 0.208 0.497 0.981
H 0.212 0.235 0.244
H 0.235 0.212 0.744
H 0.267 0.377 0.803
H 0.281 0.459 0.489
H 0.294 0.688 0.156
H 0.311 0.670 0.608
H 0.312 0.706 0.344
H 0.330 0.689 0.892
H 0.377 0.267 0.303
H 0.459 0.281 0.989
H 0.497 0.208 0.481
H 0.503 0.792 0.519
H 0.541 0.719 0.011
H 0.623 0.733 0.697
H 0.670 0.311 0.108
H 0.688 0.294 0.656
H 0.689 0.330 0.392
H 0.706 0.312 0.844
H 0.719 0.541 0.511
H 0.733 0.623 0.197
H 0.765 0.788 0.256
H 0.788 0.765 0.756
H 0.792 0.503 0.019
H 0.824 0.165 0.456
H 0.835 0.176 0.044
H 0.845 0.054 0.855
H 0.946 0.155 0.645
S 0.194 0.246 0.090
S 0.246 0.194 0.590
S 0.314 0.686 0.750
S 0.686 0.314 0.250
S 0.754 0.806 0.410
S 0.806 0.754 0.910
O 0.073 0.227 0.016
O 0.091 0.436 0.582
O 0.101 0.731 0.713
O 0.124 0.478 0.106
O 0.137 0.189 0.149
O 0.150 0.817 0.135
O 0.183 0.850 0.365
O 0.189 0.137 0.649
O 0.192 0.717 0.565
O 0.227 0.073 0.516
O 0.240 0.265 0.798
O 0.265 0.240 0.298
O 0.269 0.899 0.787
O 0.283 0.808 0.935
O 0.321 0.354 0.955
O 0.354 0.321 0.455
O 0.408 0.527 0.807
O 0.436 0.091 0.082
O 0.473 0.592 0.693
O 0.478 0.124 0.606
O 0.522 0.876 0.394
O 0.527 0.408 0.307
O 0.564 0.909 0.918
O 0.592 0.473 0.193
O 0.646 0.679 0.545
O 0.679 0.646 0.045
O 0.717 0.192 0.065
O 0.731 0.101 0.213
O 0.735 0.760 0.702
O 0.760 0.735 0.202
O 0.773 0.927 0.484
O 0.808 0.283 0.435
O 0.811 0.863 0.351
O 0.817 0.150 0.635
O 0.850 0.183 0.865
O 0.863 0.811 0.851
O 0.876 0.522 0.894
O 0.899 0.269 0.287
O 0.909 0.564 0.418
O 0.927 0.773 0.984
```

Summary:
The energy relative to the elements is -1842 meV per atom. Its space group is C2/c.